VASP calculation (PBE+U) on a geometry-optimized Li2MnNi3O8 structure.

Lattice parameters (Å, degrees): 5.6774 5.8661 5.7032 118.59 60.93 89.31
Atoms (fractional coordinates):
Li 0.0000 0.5000 0.5000
Li 0.5000 0.5000 0.5000
Mn 0.0000 0.0000 0.0000
Ni 0.0000 0.0000 0.5000
Ni 0.5000 0.0000 0.0000
Ni 0.5000 0.0000 0.5000
O 0.2738 0.1967 0.4485
O 0.2589 0.2080 0.9883
O 0.7835 0.2083 0.4584
O 0.7412 0.2157 0.0058
O 0.2589 0.7843 0.9942
O 0.2165 0.7917 0.5416
O 0.7411 0.7920 0.0117
O 0.7262 0.8033 0.5515

Output
Formation energy: -1.40 eV/atom
E: -74.782 eV/cell
E above lowest polymorph: 0.044 eV per atom

VASP calculation (PBE+U) on a geometry-optimized MgCo5O8 structure.

Lattice parameters (Å, degrees): 5.8734 5.8661 5.8755 89.98 60.05 60.03
Atoms (fractional coordinates):
Mg 0.7524 0.1236 0.8706
Co 0.5124 0.4923 0.4809
Co 0.5106 0.9953 0.4809
Co 0.2722 0.8640 0.0909
Co 0.0135 0.4941 0.4809
Co 0.0141 0.4930 0.9781
O 0.0316 0.6950 0.2244
O 0.9691 0.2734 0.2245
O 0.5495 0.7251 0.6756
O 0.5487 0.7571 0.2238
O 0.4762 0.2305 0.7352
O 0.4752 0.2626 0.2857
O 0.0579 0.7121 0.7343
O 0.9953 0.2926 0.7345

Output
Formation energy: -1.47 eV/atom
E: -83.660 eV/cell
E above lowest polymorph: 0.000 eV per atom

VASP calculation (PBE+U) on a geometry-optimized MgCr2Hg2O8 structure.

Lattice parameters (Å, degrees): 5.6738 5.6738 8.5274 90.00 90.00 117.44
Atoms (fractional coordinates):
Mg 0.8510 0.1490 0.2500
Cr 0.5713 0.4287 0.2500
Cr 0.4002 0.5998 0.7500
Hg 0.0667 0.9333 0.5449
Hg 0.0667 0.9333 0.9551
O 0.7386 0.7373 0.7500
O 0.2367 0.2860 0.2500
O 0.7140 0.7633 0.2500
O 0.2627 0.2614 0.7500
O 0.3084 0.6916 0.9132
O 0.6814 0.3186 0.4002
O 0.6814 0.3186 0.0998
O 0.3084 0.6916 0.5868

Output
Formation energy: -1.44 eV/atom
E: -70.325 eV/cell
E above lowest polymorph: 0.003 eV per atom

VASP calculation (PBE+U) on a geometry-optimized CoBi2SO7 structure.

Lattice parameters (Å, degrees): 5.4761 14.5023 16.0130 90.00 90.00 90.00
Atoms (fractional coordinates):
Co 0.7271 0.0175 0.3264
Co 0.2271 0.4825 0.6736
Co 0.2729 0.5175 0.1736
Co 0.7729 0.9825 0.8264
Co 0.2729 0.9825 0.6736
Co 0.7729 0.5175 0.3264
Co 0.7271 0.4825 0.8264
Co 0.2271 0.0175 0.1736
Bi 0.7243 0.8825 0.1574
Bi 0.2243 0.6175 0.8426
Bi 0.2757 0.3825 0.3426
Bi 0.7757 0.1175 0.6574
Bi 0.2757 0.1175 0.8426
Bi 0.7757 0.3825 0.1574
Bi 0.7243 0.6175 0.6574
Bi 0.2243 0.8825 0.3426
Bi 0.7510 0.0843 0.0193
Bi 0.2510 0.4157 0.9807
Bi 0.2490 0.5843 0.4807
Bi 0.7490 0.9157 0.5193
Bi 0.2490 0.9157 0.9807
Bi 0.7490 0.5843 0.0193
Bi 0.7510 0.4157 0.5193
Bi 0.2510 0.0843 0.4807
S 0.7950 0.2055 0.3887
S 0.2950 0.2945 0.6113
S 0.2050 0.7055 0.1113
S 0.7050 0.7945 0.8887
S 0.2050 0.7945 0.6113
S 0.7050 0.7055 0.3887
S 0.7950 0.2945 0.8887
S 0.2950 0.2055 0.1113
O 0.4822 0.9809 0.0834
O 0.9822 0.5191 0.9166
O 0.5178 0.4809 0.4166
O 0.0178 0.0191 0.5834
O 0.5178 0.0191 0.9166
O 0.0178 0.4809 0.0834
O 0.4822 0.5191 0.5834
O 0.9822 0.9809 0.4166
O 0.9715 0.9712 0.0796
O 0.4715 0.5288 0.9204
O 0.0285 0.4712 0.4204
O 0.5285 0.0288 0.5796
O 0.0285 0.0288 0.9204
O 0.5285 0.4712 0.0796
O 0.9715 0.5288 0.5796
O 0.4715 0.9712 0.4204
O 0.9746 0.9547 0.2492
O 0.4746 0.5453 0.7508
O 0.0254 0.4547 0.2508
O 0.5254 0.0453 0.7492
O 0.0254 0.0453 0.7508
O 0.5254 0.4547 0.2492
O 0.9746 0.5453 0.7492
O 0.4746 0.9547 0.2508
O 0.7476 0.3048 0.3680
O 0.2476 0.1952 0.6320
O 0.2524 0.8048 0.1320
O 0.7524 0.6952 0.8680
O 0.2524 0.6952 0.6320
O 0.7524 0.8048 0.3680
O 0.7476 0.1952 0.8680
O 0.2476 0.3048 0.1320
O 0.8025 0.1929 0.4813
O 0.3025 0.3071 0.5187
O 0.1975 0.6929 0.0187
O 0.6975 0.8071 0.9813
O 0.1975 0.8071 0.5187
O 0.6975 0.6929 0.4813
O 0.8025 0.3071 0.9813
O 0.3025 0.1929 0.0187
O 0.5891 0.1475 0.3533
O 0.0891 0.3525 0.6467
O 0.4109 0.6475 0.1467
O 0.9109 0.8525 0.8533
O 0.4109 0.8525 0.6467
O 0.9109 0.6475 0.3533
O 0.5891 0.3525 0.8533
O 0.0891 0.1475 0.1467
O 0.0282 0.1751 0.3504
O 0.5282 0.3249 0.6496
O 0.9718 0.6751 0.1496
O 0.4718 0.8249 0.8504
O 0.9718 0.8249 0.6496
O 0.4718 0.6751 0.3504
O 0.0282 0.3249 0.8504
O 0.5282 0.1751 0.1496

Output
Formation energy: -1.75 eV/atom
E: -531.736 eV/cell
E above lowest polymorph: 0.000 eV per atom

VASP calculation (PBE+U) on a geometry-optimized Li2CrFeO4 structure.

Lattice parameters (Å, degrees): 5.1775 5.9529 7.8696 100.86 96.34 106.83
Atoms (fractional coordinates):
Li 0.5001 0.5824 0.8350
Li 0.4999 0.4176 0.1650
Li 0.4980 0.2490 0.4993
Li 0.5020 0.0852 0.8332
Li 0.4980 0.9148 0.1668
Li 0.5020 0.7510 0.5007
Cr 0.0010 0.1654 0.6665
Cr 0.0000 0.0000 0.0000
Cr 0.9990 0.8346 0.3335
Fe 0.0000 0.5000 0.0000
Fe 0.0003 0.3346 0.3333
Fe 0.9997 0.6654 0.6667
O 0.7711 0.5483 0.4176
O 0.7726 0.2128 0.0845
O 0.2289 0.4517 0.5824
O 0.7724 0.3775 0.7508
O 0.2277 0.2832 0.9135
O 0.7747 0.0473 0.4205
O 0.2253 0.1180 0.2471
O 0.7723 0.7168 0.0865
O 0.2274 0.7872 0.9155
O 0.7747 0.8820 0.7529
O 0.2253 0.9527 0.5795
O 0.2276 0.6225 0.2492

Output
Formation energy: -2.17 eV/atom
E: -156.284 eV/cell
E above lowest polymorph: 0.007 eV per atom

VASP calculation (PBE+U) on a geometry-optimized Al3Tl4FeAs8O28 structure.

Lattice parameters (Å, degrees): 6.4079 6.4853 16.4098 100.69 93.21 102.99
Atoms (fractional coordinates):
Al 0.2606 0.6845 0.8854
Al 0.7389 0.3160 0.1133
Al 0.2395 0.3145 0.6153
Tl 0.2495 0.9989 0.2501
Tl 0.7497 0.9988 0.7503
Tl 0.0007 0.0005 0.9997
Tl 0.4998 0.9991 0.5002
Fe 0.7608 0.6862 0.3862
As 0.8212 0.2444 0.3300
As 0.3215 0.2416 0.8319
As 0.6786 0.7599 0.1650
As 0.1795 0.7582 0.6685
As 0.2707 0.4711 0.0928
As 0.7711 0.4693 0.5966
As 0.2284 0.5251 0.4076
As 0.7283 0.5285 0.9068
O 0.0453 0.3245 0.1363
O 0.5450 0.3193 0.6387
O 0.4450 0.6767 0.3598
O 0.9542 0.6756 0.8637
O 0.7000 0.2512 0.2313
O 0.1998 0.2503 0.7329
O 0.8085 0.7532 0.2626
O 0.3008 0.7500 0.7675
O 0.0805 0.7109 0.4110
O 0.5696 0.7077 0.9072
O 0.4296 0.2921 0.0926
O 0.9301 0.2923 0.5932
O 0.2293 0.6454 0.0030
O 0.7234 0.6478 0.5090
O 0.2724 0.3511 0.4971
O 0.7711 0.3546 0.9964
O 0.3976 0.6359 0.1701
O 0.8990 0.6337 0.6735
O 0.1021 0.3672 0.3283
O 0.6030 0.3647 0.8292
O 0.7065 0.3692 0.3883
O 0.2134 0.3785 0.8880
O 0.7855 0.6215 0.1093
O 0.2863 0.6206 0.6123
O 0.8115 0.9964 0.3884
O 0.3051 0.9881 0.8870
O 0.6924 0.0136 0.1107
O 0.1941 0.0112 0.6132

Output
Formation energy: -1.22 eV/atom
E: -237.127 eV/cell
E above lowest polymorph: 0.714 eV per atom

VASP calculation (PBE+U) on a geometry-optimized MgMn3Cd2O8 structure.

Lattice parameters (Å, degrees): 5.3187 5.8912 6.3929 117.44 101.68 90.00
Atoms (fractional coordinates):
Mg 0.5000 0.5000 0.0000
Mn 0.5000 0.0000 0.0000
Mn 0.0000 0.7489 0.0000
Mn 0.0000 0.2511 0.0000
Cd 0.6996 0.7521 0.5041
Cd 0.3004 0.2479 0.4959
O 0.1136 0.4088 0.8177
O 0.8864 0.5912 0.1823
O 0.0877 0.9029 0.8058
O 0.9123 0.0971 0.1942
O 0.3912 0.3406 0.2017
O 0.3912 0.8611 0.2017
O 0.6088 0.1389 0.7983
O 0.6088 0.6594 0.7983

Output
Formation energy: -1.90 eV/atom
E: -86.576 eV/cell
E above lowest polymorph: 0.000 eV per atom

VASP calculation (PBE+U) on a geometry-optimized NaVS2O8 structure.

Lattice parameters (Å, degrees): 5.2272 10.9912 11.0040 96.99 90.13 90.11
Atoms (fractional coordinates):
Na 0.4999 0.0000 0.5000
Na 0.0006 0.2503 0.2499
Na 0.9994 0.7496 0.7501
Na 0.5002 0.5000 0.0000
V 0.4998 0.7497 0.2499
V 0.9999 0.5000 0.4999
V 0.0000 0.0000 0.0001
V 0.5001 0.2503 0.7500
S 0.4992 0.9618 0.8179
S 0.9991 0.2122 0.5677
S 0.9995 0.7117 0.0679
S 0.5014 0.4614 0.3175
S 0.4985 0.5385 0.6823
S 0.0004 0.7879 0.4322
S 0.0010 0.2883 0.9322
S 0.5008 0.0381 0.1822
O 0.4957 0.5910 0.8096
O 0.9998 0.8404 0.5595
O 0.0021 0.3409 0.0593
O 0.5011 0.0908 0.3094
O 0.4988 0.9091 0.6907
O 0.9990 0.1597 0.4405
O 0.9992 0.6591 0.9407
O 0.5044 0.4090 0.1903
O 0.4993 0.0976 0.8374
O 0.9973 0.3480 0.5876
O 0.9995 0.8475 0.0877
O 0.4993 0.5972 0.3373
O 0.5003 0.4027 0.6626
O 0.0025 0.6521 0.4123
O 0.0006 0.1525 0.9125
O 0.5011 0.9024 0.1626
O 0.7282 0.5845 0.6186
O 0.2322 0.8333 0.3687
O 0.2334 0.3332 0.8685
O 0.7334 0.0831 0.1187
O 0.2623 0.5818 0.6190
O 0.7661 0.8320 0.3688
O 0.7675 0.3330 0.8688
O 0.2674 0.0828 0.1187
O 0.2667 0.9170 0.8815
O 0.7667 0.1670 0.6312
O 0.7678 0.6665 0.1316
O 0.2716 0.4154 0.3812
O 0.7326 0.9172 0.8815
O 0.2328 0.1679 0.6312
O 0.2337 0.6672 0.1312
O 0.7377 0.4181 0.3808

Output
Formation energy: -2.14 eV/atom
E: -307.088 eV/cell